[1]
Compound: V3O5F
Source: the Materials Project
Functional: PBE with a Hubbard U
Structure: optimized geometry

Unit cell a=4.609 b=5.527 c=7.637 alpha=93.20 beta=90.04 gamma=90.02
Space group P1 (No. 1)
One atom of each set of equivalent atoms:
V1 0.000 0.000 0.000 x1
V2 0.008 0.335 0.356 x1
V3 0.461 0.821 0.357 x1
V4 0.500 0.499 0.040 x1
V5 0.509 0.167 0.683 x1
V6 0.961 0.681 0.682 x1
O1 0.195 0.958 0.787 x1
O2 0.206 0.299 0.110 x1
O3 0.206 0.638 0.463 x1
O4 0.292 0.803 0.124 x1
O5 0.318 0.130 0.449 x1
O6 0.696 0.543 0.253 x1
O7 0.705 0.865 0.577 x1
O8 0.706 0.201 0.931 x1
O9 0.792 0.698 0.916 x1
O10 0.817 0.372 0.592 x1
F1 0.299 0.475 0.790 x1
F2 0.801 0.026 0.251 x1

Properties
E_tot = -7.5870 eV/atom
calculated density = 4.31 g cm⁻³
ΔH_f (0 K) = -2597.1 meV per atom
corrected total energy (MP2020 scheme) = -154.6 eV for the cell shown

[2]
Compound: Li6Co5Ni3O16
Source: the Materials Project
Functional: PBE with a Hubbard U
Structure: optimized geometry

Unit cell a=5.643 b=5.684 c=9.187 alpha=91.37 beta=90.05 gamma=119.60
Space group P1 (No. 1)
One atom of each set of equivalent atoms:
Li1 0.000 0.000 0.000 x1
Li2 0.000 0.499 0.995 x1
Li3 0.167 0.829 0.499 x1
Li4 0.498 0.498 0.995 x1
Li5 0.662 0.828 0.499 x1
Li6 0.663 0.324 0.497 x1
Co1 0.003 0.497 0.731 x1
Co2 0.166 0.329 0.459 x1
Co3 0.494 0.496 0.731 x1
Co4 0.503 0.005 0.957 x1
Co5 0.663 0.324 0.231 x1
Ni1 0.002 0.002 0.733 x1
Ni2 0.171 0.836 0.232 x1
Ni3 0.666 0.836 0.232 x1
O1 0.158 0.824 0.857 x1
O2 0.172 0.341 0.839 x1
O3 0.314 0.628 0.605 x1
O4 0.322 0.192 0.597 x1
O5 0.356 0.713 0.094 x1
O6 0.363 0.162 0.095 x1
O7 0.498 0.487 0.359 x1
O8 0.506 0.010 0.340 x1
O9 0.662 0.824 0.858 x1
O10 0.671 0.342 0.849 x1
O11 0.801 0.163 0.095 x1
O12 0.827 0.654 0.129 x1
O13 0.830 0.660 0.629 x1
O14 0.872 0.189 0.599 x1
O15 0.990 0.486 0.359 x1
O16 0.994 0.985 0.359 x1

Properties
E_tot = -5.2892 eV/atom
calculated density = 4.98 g cm⁻³
ΔH_f (0 K) = -1399.2 meV per atom
corrected total energy (MP2020 scheme) = -185.5 eV for the cell shown

[3]
Compound: Li3Mn4B4O12
Source: the Materials Project
Functional: PBE with a Hubbard U
Structure: optimized geometry

Unit cell a=7.863 b=7.932 c=9.110 alpha=69.67 beta=70.73 gamma=83.48
Space group P1 (No. 1)
One atom of each set of equivalent atoms:
Li1 0.000 0.000 0.000 x1
Li2 0.094 0.269 0.058 x1
Li3 0.248 0.748 0.505 x1
Li4 0.345 0.024 0.557 x1
Li5 0.512 0.508 0.007 x1
Li6 0.763 0.256 0.503 x1
Mn1 0.132 0.302 0.693 x1
Mn2 0.208 0.718 0.861 x1
Mn3 0.397 0.036 0.194 x1
Mn4 0.453 0.478 0.356 x1
Mn5 0.649 0.791 0.704 x1
Mn6 0.700 0.231 0.857 x1
Mn7 0.884 0.555 0.208 x1
Mn8 0.960 0.963 0.359 x1
B1 0.139 0.291 0.365 x1
B2 0.211 0.718 0.189 x1
B3 0.384 0.055 0.862 x1
B4 0.467 0.473 0.686 x1
B5 0.615 0.788 0.389 x1
B6 0.720 0.226 0.185 x1
B7 0.873 0.529 0.888 x1
B8 0.961 0.974 0.689 x1
O1 0.000 0.511 0.970 x1
O2 0.092 0.759 0.094 x1
O3 0.112 0.867 0.663 x1
O4 0.168 0.189 0.262 x1
O5 0.193 0.811 0.297 x1
O6 0.229 0.154 0.894 x1
O7 0.261 0.271 0.457 x1
O8 0.344 0.593 0.169 x1
O9 0.346 0.505 0.595 x1
O10 0.412 0.949 0.763 x1
O11 0.448 0.574 0.791 x1
O12 0.469 0.901 0.404 x1
O13 0.510 0.049 0.945 x1
O14 0.599 0.347 0.670 x1
O15 0.605 0.254 0.088 x1
O16 0.639 0.673 0.297 x1
O17 0.684 0.319 0.296 x1
O18 0.737 0.649 0.899 x1
O19 0.738 0.782 0.468 x1
O20 0.844 0.999 0.597 x1
O21 0.866 0.115 0.161 x1
O22 0.889 0.410 0.799 x1
O23 0.930 0.070 0.797 x1
O24 0.990 0.395 0.392 x1

Properties
E_tot = -7.4020 eV/atom
calculated density = 3.14 g cm⁻³
ΔH_f (0 K) = -2464.9 meV per atom
corrected total energy (MP2020 scheme) = -370.3 eV for the cell shown

[4]
Compound: Li2Ni3SnO8
Source: the Materials Project
Functional: PBE with a Hubbard U
Structure: optimized geometry

Unit cell a=5.8437 b=5.8437 c=9.5381 alpha=90.00 beta=90.00 gamma=120.00
Space group P6_3mc (No. 186)
One atom of each set of equivalent atoms:
Li1 0.0000 0.0000 0.0000 x2
Li2 0.3333 0.6667 0.3958 x2
Ni1 0.1698 0.3396 0.7199 x6
Sn1 0.3333 0.6667 0.9979 x2
O1 0.0000 0.0000 0.3100 x2
O2 0.0337 0.5168 0.8400 x6
O3 0.1586 0.3172 0.1062 x6
O4 0.3333 0.6667 0.6165 x2

Properties
E_tot = -5.1425 eV/atom
calculated density = 5.14 g cm⁻³
ΔH_f (0 K) = -1454.4 meV per atom
corrected total energy (MP2020 scheme) = -170.2 eV for the cell shown

[5]
Compound: Li4Mn3OF8
Source: the Materials Project
Functional: PBE with a Hubbard U
Structure: optimized geometry

Unit cell a=9.902 b=2.994 c=11.668 alpha=90.00 beta=102.16 gamma=90.00
Space group Cm (No. 8)
One atom of each set of equivalent atoms:
Li1 0.000 0.000 0.000 x2
Li2 0.093 0.000 0.318 x2
Li3 0.221 0.500 0.896 x2
Li4 0.362 0.500 0.441 x2
Mn1 0.114 0.500 0.564 x2
Mn2 0.305 0.000 0.157 x2
Mn3 0.432 0.000 0.726 x2
O1 0.486 0.500 0.608 x2
F1 0.058 0.000 0.850 x2
F2 0.170 0.500 0.052 x2
F3 0.230 0.000 0.484 x2
F4 0.238 0.500 0.279 x2
F5 0.268 0.500 0.734 x2
F6 0.361 0.000 0.956 x2
F7 0.462 0.500 0.164 x2
F8 0.487 0.000 0.381 x2

Properties
E_tot = -5.7451 eV/atom
calculated density = 3.54 g cm⁻³
ΔH_f (0 K) = -2870.1 meV per atom
corrected total energy (MP2020 scheme) = -202.6 eV for the cell shown

[6]
Compound: Li11Ti4Fe9O32
Source: the Materials Project
Functional: PBE with a Hubbard U
Structure: optimized geometry

Unit cell a=8.338 b=8.362 c=8.503 alpha=89.71 beta=89.80 gamma=89.80
Space group P1 (No. 1)
One atom of each set of equivalent atoms:
Li1 0.000 0.000 0.000 x1
Li2 0.001 0.495 0.499 x1
Li3 0.123 0.127 0.374 x1
Li4 0.249 0.251 0.754 x1
Li5 0.372 0.628 0.627 x1
Li6 0.501 0.998 0.502 x1
Li7 0.504 0.496 0.999 x1
Li8 0.624 0.874 0.118 x1
Li9 0.750 0.256 0.250 x1
Li10 0.754 0.753 0.754 x1
Li11 0.880 0.370 0.883 x1
Ti1 0.372 0.356 0.394 x1
Ti2 0.624 0.624 0.368 x1
Ti3 0.628 0.387 0.635 x1
Ti4 0.866 0.889 0.361 x1
Fe1 0.125 0.874 0.625 x1
Fe2 0.129 0.627 0.875 x1
Fe3 0.130 0.375 0.131 x1
Fe4 0.254 0.754 0.256 x1
Fe5 0.377 0.126 0.127 x1
Fe6 0.378 0.874 0.871 x1
Fe7 0.623 0.123 0.872 x1
Fe8 0.875 0.123 0.631 x1
Fe9 0.875 0.626 0.128 x1
O1 0.099 0.106 0.628 x1
O2 0.113 0.870 0.389 x1
O3 0.117 0.646 0.646 x1
O4 0.127 0.619 0.123 x1
O5 0.134 0.406 0.898 x1
O6 0.141 0.859 0.871 x1
O7 0.147 0.377 0.356 x1
O8 0.148 0.146 0.123 x1
O9 0.346 0.878 0.637 x1
O10 0.362 0.361 0.135 x1
O11 0.363 0.650 0.874 x1
O12 0.371 0.892 0.120 x1
O13 0.380 0.139 0.360 x1
O14 0.387 0.105 0.884 x1
O15 0.390 0.372 0.609 x1
O16 0.391 0.616 0.372 x1
O17 0.603 0.127 0.099 x1
O18 0.605 0.894 0.876 x1
O19 0.612 0.387 0.392 x1
O20 0.620 0.349 0.856 x1
O21 0.638 0.604 0.610 x1
O22 0.643 0.853 0.382 x1
O23 0.644 0.620 0.144 x1
O24 0.645 0.127 0.643 x1
O25 0.852 0.121 0.853 x1
O26 0.863 0.344 0.627 x1
O27 0.867 0.633 0.354 x1
O28 0.873 0.109 0.400 x1
O29 0.877 0.866 0.146 x1
O30 0.893 0.891 0.615 x1
O31 0.897 0.629 0.908 x1
O32 0.910 0.389 0.127 x1

Properties
E_tot = -6.4653 eV/atom
calculated density = 3.59 g cm⁻³
ΔH_f (0 K) = -2092.9 meV per atom
corrected total energy (MP2020 scheme) = -404.3 eV for the cell shown

[7]
Compound: SrCo2As2H4O10
Source: the Materials Project
Functional: PBE with a Hubbard U
Structure: optimized geometry

Unit cell a=7.591 b=13.109 c=9.234 alpha=90.00 beta=114.54 gamma=90.00
Space group P2_1/c (No. 14)
One atom of each set of equivalent atoms:
Sr1 0.005 0.130 0.256 x4
Co1 0.493 0.249 0.496 x4
Co2 0.500 0.000 0.000 x2
Co3 0.500 0.000 0.500 x2
As1 0.219 0.633 0.670 x4
As2 0.221 0.118 0.682 x4
H1 0.107 0.585 0.897 x4
H2 0.242 0.128 0.038 x4
H3 0.322 0.627 0.107 x4
H4 0.442 0.125 0.209 x4
O1 0.004 0.138 0.986 x4
O2 0.029 0.612 0.955 x4
O3 0.230 0.532 0.796 x4
O4 0.243 0.228 0.788 x4
O5 0.256 0.007 0.788 x4
O6 0.267 0.742 0.786 x4
O7 0.323 0.123 0.546 x4
O8 0.386 0.623 0.587 x4
O9 0.388 0.125 0.085 x4
O10 0.452 0.623 0.112 x4

Properties
E_tot = -5.8647 eV/atom
calculated density = 4.13 g cm⁻³
ΔH_f (0 K) = -1752.6 meV per atom
corrected total energy (MP2020 scheme) = -486.3 eV for the cell shown

[8]
Compound: Li2Fe2P3O12
Source: the Materials Project
Functional: PBE with a Hubbard U
Structure: optimized geometry

Unit cell a=8.719 b=8.806 c=12.214 alpha=90.03 beta=90.09 gamma=90.29
Space group P1 (No. 1)
One atom of each set of equivalent atoms:
Li1 0.000 0.000 0.000 x1
Li2 0.002 0.951 0.364 x1
Li3 0.136 0.638 0.885 x1
Li4 0.176 0.315 0.461 x1
Li5 0.436 0.498 0.002 x1
Li6 0.502 0.954 0.498 x1
Li7 0.507 0.996 0.866 x1
Li8 0.906 0.461 0.495 x1
Fe1 0.462 0.762 0.297 x1
Fe2 0.465 0.180 0.071 x1
Fe3 0.471 0.682 0.794 x1
Fe4 0.476 0.273 0.563 x1
Fe5 0.958 0.267 0.289 x1
Fe6 0.958 0.680 0.069 x1
Fe7 0.964 0.189 0.798 x1
Fe8 0.966 0.771 0.570 x1
P1 0.109 0.620 0.329 x1
P2 0.114 0.334 0.034 x1
P3 0.172 0.475 0.679 x1
P4 0.260 0.977 0.683 x1
P5 0.320 0.828 0.035 x1
P6 0.321 0.120 0.329 x1
P7 0.609 0.330 0.828 x1
P8 0.609 0.623 0.535 x1
P9 0.673 0.474 0.183 x1
P10 0.755 0.974 0.182 x1
P11 0.826 0.122 0.535 x1
P12 0.826 0.830 0.830 x1
O1 0.039 0.740 0.408 x1
O2 0.041 0.213 0.957 x1
O3 0.052 0.652 0.213 x1
O4 0.058 0.457 0.367 x1
O5 0.059 0.297 0.151 x1
O6 0.060 0.562 0.603 x1
O7 0.071 0.499 0.003 x1
O8 0.074 0.377 0.756 x1
O9 0.142 0.826 0.023 x1
O10 0.143 0.128 0.341 x1
O11 0.158 0.078 0.755 x1
O12 0.161 0.870 0.613 x1
O13 0.265 0.583 0.754 x1
O14 0.271 0.377 0.602 x1
O15 0.285 0.631 0.338 x1
O16 0.291 0.323 0.024 x1
O17 0.365 0.069 0.606 x1
O18 0.368 0.887 0.761 x1
O19 0.370 0.157 0.213 x1
O20 0.370 0.788 0.151 x1
O21 0.377 0.703 0.953 x1
O22 0.377 0.959 0.362 x1
O23 0.381 0.239 0.413 x1
O24 0.382 0.986 0.001 x1
O25 0.537 0.742 0.457 x1
O26 0.541 0.209 0.908 x1
O27 0.551 0.489 0.862 x1
O28 0.557 0.292 0.712 x1
O29 0.557 0.661 0.652 x1
O30 0.561 0.384 0.108 x1
O31 0.568 0.459 0.504 x1
O32 0.576 0.577 0.256 x1
O33 0.649 0.126 0.522 x1
O34 0.649 0.821 0.843 x1
O35 0.654 0.872 0.255 x1
O36 0.659 0.081 0.111 x1
O37 0.770 0.371 0.256 x1
O38 0.770 0.573 0.105 x1
O39 0.785 0.321 0.839 x1
O40 0.786 0.637 0.525 x1
O41 0.860 0.881 0.105 x1
O42 0.865 0.063 0.260 x1
O43 0.871 0.157 0.654 x1
O44 0.873 0.798 0.712 x1
O45 0.878 0.993 0.863 x1
O46 0.884 0.963 0.501 x1
O47 0.903 0.245 0.460 x1
O48 0.908 0.714 0.906 x1

Properties
E_tot = -6.7916 eV/atom
calculated density = 2.91 g cm⁻³
ΔH_f (0 K) = -2390.7 meV per atom
corrected total energy (MP2020 scheme) = -567.2 eV for the cell shown

[9]
Compound: Fe3As2O16
Source: the Materials Project
Functional: PBE with a Hubbard U
Structure: optimized geometry

Unit cell a=10.499 b=11.823 c=4.667 alpha=90.00 beta=106.42 gamma=90.00
Space group C2/m (No. 12)
One atom of each set of equivalent atoms:
Fe1 0.000 0.000 0.000 x2
Fe2 0.000 0.366 0.000 x4
As1 0.183 0.500 0.644 x4
O1 0.074 0.131 0.866 x8
O2 0.083 0.240 0.226 x8
O3 0.091 0.500 0.264 x4
O4 0.145 0.378 0.795 x8
O5 0.151 0.000 0.363 x4

Properties
E_tot = -5.2697 eV/atom
calculated density = 3.43 g cm⁻³
ΔH_f (0 K) = -691.8 meV per atom
corrected total energy (MP2020 scheme) = -256.8 eV for the cell shown